First-principles (PBE+U) data for CaLa3Mn4O12 after structural relaxation, as listed in the Materials Project database.

Cell: 11.1532 11.1532 13.4030 Å, 90.00 90.00 120.00°
Space group R-3c (No. 167, hexagonal axes)
Unique sites:
Ca: 0.0000 0.0000 0.2500 (multiplicity 6)
La: 0.0000 0.5004 0.2500 (multiplicity 18)
Mn: 0.0000 0.0000 0.0000 (multiplicity 6)
Mn: 0.0000 0.5000 0.0000 (multiplicity 18)
O: 0.0000 0.2166 0.7500 (multiplicity 18)
O: 0.0000 0.2838 0.2500 (multiplicity 18)
O: 0.0519 0.1686 0.4183 (multiplicity 36)

Results
For the total magnetic moment, the calculation gives 89.9 μB per cell. The value obtained for the relative energy among the computed polymorphs is 6 meV/atom. The value obtained for the formation energy is -2.8876 eV per atom.